No. 1
The following is a PBE calculation of a relaxed SrC20 crystal, from the Materials Project database.

## Properties
energy relative to the elements: 270 meV per atom
VASP energy: -8.600 eV per atom
space group: Pm-3 (200)

Cell: 11.2075 11.2075 11.2075 Å, 90.00 90.00 90.00°
Atoms (fractional coordinates):
Sr (0.7574, 0.5000, 0.0000)
C (0.1280, 0.1043, 0.7283)
C (0.9355, 0.2069, 0.7679)
C (0.0637, 0.0000, 0.6885)
C (0.9355, 0.7931, 0.7679)
C (0.1043, 0.2717, 0.8720)
C (0.4358, 0.7066, 0.7316)
C (0.5642, 0.2934, 0.2684)
C (0.3720, 0.3956, 0.2281)
C (0.6044, 0.2281, 0.6280)
C (0.8133, 0.5638, 0.5000)
C (0.2069, 0.2321, 0.0645)
C (0.5000, 0.8133, 0.5638)
C (0.7316, 0.4358, 0.2934)
C (0.3956, 0.2281, 0.6280)
C (0.2069, 0.7679, 0.9355)
C (0.2281, 0.3720, 0.3956)
C (0.6885, 0.9363, 0.0000)
C (0.2281, 0.6280, 0.6044)
C (0.3956, 0.2281, 0.3720)
C (0.7719, 0.3720, 0.3956)
C (0.6280, 0.6044, 0.7719)
C (0.1043, 0.7283, 0.8720)
C (0.2934, 0.2684, 0.4358)
C (0.1867, 0.5638, 0.5000)
C (0.7316, 0.5642, 0.2934)
C (0.0645, 0.7931, 0.2321)
C (0.2934, 0.2684, 0.5642)
C (0.3720, 0.6044, 0.2281)
C (0.2281, 0.6280, 0.3956)
C (0.5000, 0.8133, 0.4362)
C (0.5638, 0.5000, 0.1867)
C (0.8957, 0.7283, 0.8720)
C (0.3115, 0.0637, 0.0000)
C (0.2717, 0.1280, 0.8957)
Sr (0.2426, 0.5000, 0.0000)
C (0.6044, 0.7719, 0.6280)
C (0.1280, 0.8957, 0.7283)
C (0.7719, 0.3720, 0.6044)
C (0.0000, 0.3115, 0.0637)
C (0.7931, 0.7679, 0.9355)
C (0.6044, 0.2281, 0.3720)
C (0.7283, 0.1280, 0.1043)
Sr (0.0000, 0.7574, 0.5000)
C (0.9355, 0.7931, 0.2321)
C (0.6280, 0.6044, 0.2281)
C (0.0645, 0.7931, 0.7679)
C (0.2717, 0.8720, 0.1043)
C (0.0000, 0.6885, 0.0637)
C (0.3720, 0.3956, 0.7719)
C (0.2684, 0.4358, 0.2934)
C (0.0637, 0.0000, 0.3115)
C (0.2069, 0.2321, 0.9355)
C (0.2069, 0.7679, 0.0645)
C (0.6280, 0.3956, 0.2281)
C (0.7066, 0.2684, 0.4358)
C (0.7283, 0.8720, 0.8957)
C (0.2934, 0.7316, 0.4358)
C (0.7931, 0.7679, 0.0645)
C (0.8720, 0.1043, 0.7283)
C (0.3956, 0.7719, 0.3720)
C (0.9363, 0.0000, 0.3115)
C (0.9355, 0.2069, 0.2321)
C (0.2684, 0.5642, 0.7066)
C (0.1867, 0.4362, 0.5000)
C (0.7679, 0.0645, 0.7931)
C (0.7283, 0.8720, 0.1043)
C (0.5642, 0.2934, 0.7316)
C (0.3720, 0.6044, 0.7719)
Sr (0.0000, 0.2426, 0.5000)
C (0.6885, 0.0637, 0.0000)
C (0.1280, 0.1043, 0.2717)
C (0.5000, 0.1867, 0.5638)
C (0.7679, 0.9355, 0.2069)
C (0.4358, 0.7066, 0.2684)
C (0.4362, 0.5000, 0.1867)
C (0.7719, 0.6280, 0.3956)
C (0.2321, 0.9355, 0.2069)
C (0.0645, 0.2069, 0.2321)
Sr (0.5000, 0.0000, 0.7574)
C (0.3115, 0.9363, 0.0000)
C (0.8720, 0.8957, 0.2717)
C (0.2684, 0.4358, 0.7066)
C (0.4358, 0.2934, 0.7316)
C (0.2321, 0.9355, 0.7931)
C (0.2934, 0.7316, 0.5642)
C (0.4362, 0.5000, 0.8133)
C (0.7066, 0.7316, 0.4358)
C (0.1280, 0.8957, 0.2717)
C (0.7316, 0.5642, 0.7066)
Sr (0.5000, 0.0000, 0.2426)
C (0.6044, 0.7719, 0.3720)
C (0.8133, 0.4362, 0.5000)
C (0.8957, 0.2717, 0.1280)
C (0.7931, 0.2321, 0.0645)
C (0.5642, 0.7066, 0.7316)
C (0.7066, 0.7316, 0.5642)
C (0.8957, 0.7283, 0.1280)
C (0.8720, 0.8957, 0.7283)
C (0.5638, 0.5000, 0.8133)
C (0.1043, 0.2717, 0.1280)
C (0.0000, 0.6885, 0.9363)
C (0.2717, 0.8720, 0.8957)
C (0.2281, 0.3720, 0.6044)
C (0.7066, 0.2684, 0.5642)
C (0.8957, 0.2717, 0.8720)
C (0.1043, 0.7283, 0.1280)
C (0.2717, 0.1280, 0.1043)
C (0.2321, 0.0645, 0.7931)
C (0.8720, 0.1043, 0.2717)
C (0.0000, 0.3115, 0.9363)
C (0.3956, 0.7719, 0.6280)
C (0.2684, 0.5642, 0.2934)
C (0.9363, 0.0000, 0.6885)
C (0.5000, 0.1867, 0.4362)
C (0.2321, 0.0645, 0.2069)
C (0.6280, 0.3956, 0.7719)
C (0.7679, 0.9355, 0.7931)
C (0.7679, 0.0645, 0.2069)
C (0.5642, 0.7066, 0.2684)
C (0.7719, 0.6280, 0.6044)
C (0.4358, 0.2934, 0.2684)
C (0.7283, 0.1280, 0.8957)
C (0.0645, 0.2069, 0.7679)
C (0.7316, 0.4358, 0.7066)
C (0.7931, 0.2321, 0.9355)


No. 2
The following is a PBE calculation of a relaxed La3BeGaS7 crystal, from the Materials Project database.

## Properties
energy relative to the elements: -1904 meV per atom
ΔE to the lowest computed polymorph: 3 meV per atom
VASP energy: -5.822 eV per atom
space group: P6_3 (173)

Cell: 10.2029 10.2029 6.0300 Å, 90.00 90.00 120.00°
Atoms (fractional coordinates):
S (0.0781, 0.8554, 0.7242)
S (0.8554, 0.7773, 0.2242)
S (0.5938, 0.1134, 0.4708)
La (0.8619, 0.2530, 0.7542)
S (0.3333, 0.6667, 0.4895)
S (0.2227, 0.0781, 0.2242)
La (0.1381, 0.7470, 0.2542)
La (0.6090, 0.8619, 0.2542)
La (0.7470, 0.6090, 0.7542)
S (0.4804, 0.5938, 0.9708)
Ga (0.0000, 0.0000, 0.9905)
S (0.6667, 0.3333, 0.9895)
S (0.5196, 0.4062, 0.4708)
S (0.1134, 0.5196, 0.9708)
La (0.3910, 0.1381, 0.7542)
S (0.1446, 0.2227, 0.7242)
Be (0.6667, 0.3333, 0.3402)
S (0.7773, 0.9219, 0.7242)
Ga (0.0000, 0.0000, 0.4905)
La (0.2530, 0.3910, 0.2542)
S (0.8866, 0.4804, 0.4708)
S (0.9219, 0.1446, 0.2242)
Be (0.3333, 0.6667, 0.8402)
S (0.4062, 0.8866, 0.9708)


No. 3
The following is a PBE calculation of a relaxed KSmHfZrO6 crystal, from the Materials Project database.

## Properties
energy relative to the elements: -3427 meV per atom
VASP energy: -8.417 eV per atom
space group: F-43m (216)

Cell: 5.8581 5.8581 5.8581 Å, 60.00 60.00 60.00°
Atoms (fractional coordinates):
O (0.7519, 0.2481, 0.2481)
K (0.2500, 0.2500, 0.2500)
O (0.2481, 0.7519, 0.7519)
Sm (0.7500, 0.7500, 0.7500)
Hf (0.0000, 0.0000, 0.0000)
O (0.7519, 0.7519, 0.2481)
O (0.2481, 0.2481, 0.7519)
O (0.7519, 0.2481, 0.7519)
O (0.2481, 0.7519, 0.2481)
Zr (0.5000, 0.5000, 0.5000)


No. 4
The following is a PBE calculation of a relaxed Mn2SnTe4 crystal, from the Materials Project database.

## Properties
energy relative to the elements: -362 meV per atom
VASP energy: -5.107 eV per atom
space group: Pnma (62)

Cell: 13.8722 8.2049 7.3413 Å, 90.00 90.00 90.00°
Atoms (fractional coordinates):
Mn (0.5000, 0.0000, 0.5000)
Mn (0.2637, 0.2500, 0.0132)
Te (0.3276, 0.4820, 0.7201)
Te (0.1724, 0.5180, 0.2201)
Te (0.8276, 0.4820, 0.7799)
Te (0.4089, 0.2500, 0.2762)
Te (0.5899, 0.2500, 0.6613)
Mn (0.0000, 0.0000, 0.0000)
Sn (0.5893, 0.2500, 0.0752)
Te (0.3276, 0.0180, 0.7201)
Te (0.0911, 0.7500, 0.7762)
Mn (0.2363, 0.7500, 0.5132)
Te (0.4101, 0.7500, 0.3387)
Te (0.6724, 0.9820, 0.2799)
Mn (0.7637, 0.2500, 0.4868)
Mn (0.0000, 0.5000, 0.0000)
Mn (0.5000, 0.5000, 0.5000)
Te (0.9089, 0.2500, 0.2238)
Sn (0.9107, 0.7500, 0.5752)
Te (0.8276, 0.0180, 0.7799)
Sn (0.0893, 0.2500, 0.4248)
Te (0.9101, 0.7500, 0.1613)
Sn (0.4107, 0.7500, 0.9248)
Mn (0.7363, 0.7500, 0.9868)
Te (0.1724, 0.9820, 0.2201)
Te (0.5911, 0.7500, 0.7238)
Te (0.6724, 0.5180, 0.2799)
Te (0.0899, 0.2500, 0.8387)


Q: Which value of VASP energy does entry 1 give?
A: -8.600 eV per atom